## K8Tl10Zn (r2SCAN)

Data for an optimized crystal structure of K8Tl10Zn.

a = 10.3360 Å, b = 10.3360 Å, c = 13.8500 Å
α = 90.00°, β = 90.00°, γ = 90.00°
Element x y z (fractional)
K1 0.7035 0.0739 0.1454
K2 0.2965 0.9261 0.1454
K3 0.2965 0.0739 0.8546
K4 0.7035 0.9261 0.8546
K5 0.7965 0.4261 0.3546
K6 0.2035 0.5739 0.3546
K7 0.2035 0.4261 0.6454
K8 0.7965 0.5739 0.6454
K9 0.0739 0.7035 0.8546
K10 0.9261 0.2965 0.8546
K11 0.0739 0.2965 0.1454
K12 0.9261 0.7035 0.1454
K13 0.4261 0.7965 0.6454
K14 0.5739 0.2035 0.6454
K15 0.4261 0.2035 0.3546
K16 0.5739 0.7965 0.3546
Tl1 0.7607 0.0949 0.4109
Tl2 0.2393 0.9051 0.4109
Tl3 0.2393 0.0949 0.5891
Tl4 0.7607 0.9051 0.5891
Tl5 0.7393 0.4051 0.0891
Tl6 0.2607 0.5949 0.0891
Tl7 0.2607 0.4051 0.9109
Tl8 0.7393 0.5949 0.9109
Tl9 0.0949 0.7607 0.5891
Tl10 0.9051 0.2393 0.5891
Tl11 0.0949 0.2393 0.4109
Tl12 0.9051 0.7607 0.4109
Tl13 0.4051 0.7393 0.9109
Tl14 0.5949 0.2607 0.9109
Tl15 0.4051 0.2607 0.0891
Tl16 0.5949 0.7393 0.0891
Tl17 0.5000 0.5000 0.2091
Tl18 0.5000 0.5000 0.7909
Tl19 0.0000 0.0000 0.2909
Tl20 0.0000 0.0000 0.7091
Zn1 0.5000 0.5000 0.0000
Zn2 0.0000 0.0000 0.5000

**Density**: 5.4 g cm⁻³
**ΔH_f (0 K)**: -3.77 eV per formula unit
**V**: 38.94 Å³ per atom